Record 1
! PBE with a Hubbard U Rb3Mo4P4O22, relaxed; values from VASP
! total moment: 0.094 μB per atom
! calculated formation energy: -2405 meV/atom
! ΔE to the lowest computed polymorph: 0.17 kcal/mol of atoms
&SYSTEM
  ibrav = 0, nat = 132, ntyp = 4
/
ATOMIC_SPECIES
Rb 85.47 Rb.upf
Mo 95.94 Mo.upf
P 30.97 P.upf
O 16.00 O.upf
CELL_PARAMETERS angstrom
10.2767 0.0000 0.0000
0.0000 10.2767 0.0000
0.0000 0.0000 19.5504
ATOMIC_POSITIONS angstrom
Rb 0.0801 1.1613 7.3692
Rb 1.1613 0.0801 12.1812
Rb 2.1390 2.1390 0.0000
Rb 2.9994 7.2773 14.6628
Rb 3.9771 5.2184 2.4816
Rb 5.0583 6.2997 7.2936
Rb 5.2184 3.9771 17.0688
Rb 6.2997 5.0583 12.2567
Rb 7.2773 2.9994 4.8876
Rb 8.1378 8.1378 9.7752
Rb 9.1155 10.1967 2.4060
Rb 10.1967 9.1155 17.1443
Mo 0.1759 6.5343 1.1971
Mo 1.0888 2.6266 15.9269
Mo 1.3960 4.9625 6.0847
Mo 2.5118 6.2272 11.0393
Mo 2.6266 1.0888 3.6234
Mo 3.7424 10.1009 8.5781
Mo 4.0496 7.7649 18.2862
Mo 4.9625 1.3960 13.4656
Mo 5.3142 8.8808 3.6905
Mo 6.2272 2.5118 8.5110
Mo 6.5343 0.1759 18.3532
Mo 7.6502 9.1879 13.3986
Mo 7.7649 4.0496 1.2641
Mo 8.8808 5.3142 15.8599
Mo 9.1879 7.6502 6.1517
Mo 10.1009 3.7424 10.9723
P 0.4669 3.6571 3.1281
P 1.4812 5.6053 17.7909
P 1.6010 7.5805 8.2058
P 2.4421 3.5374 13.0933
P 2.6963 8.6758 1.5694
P 3.5374 2.4421 6.4570
P 3.6571 0.4669 16.4223
P 4.6714 8.7955 11.5347
P 5.6053 1.4812 1.7595
P 6.6196 9.8098 6.6471
P 6.7393 7.8347 16.2322
P 7.5805 1.6010 11.3446
P 7.8347 6.7393 3.3182
P 8.6758 2.6963 17.9809
P 8.7955 4.6714 8.0157
P 9.8098 6.6196 12.9033
O 0.1676 6.0762 17.1450
O 0.1939 6.3393 5.5965
O 0.2033 8.1210 7.7583
O 0.2291 2.3437 10.0405
O 0.5062 3.7308 4.6923
O 0.6839 1.2925 14.9218
O 0.9378 4.9707 2.4823
O 0.9623 7.0305 12.4739
O 1.0086 3.2480 12.5811
O 1.2009 4.9445 10.4841
O 1.2925 0.6839 4.6286
O 1.4075 5.6446 19.3550
O 1.4855 2.5567 2.6628
O 1.6040 7.5752 9.7636
O 1.7822 7.5378 2.0939
O 1.8921 4.1761 17.3615
O 1.8903 6.1470 7.6935
O 2.1557 10.0735 2.0169
O 2.3437 0.2291 9.5099
O 2.3994 3.3561 6.9815
O 2.4368 3.5344 14.6512
O 2.5567 1.4855 16.8876
O 2.5817 6.6238 17.3255
O 2.7015 8.6728 0.0116
O 2.7390 8.4945 7.6813
O 2.7947 5.3675 5.1529
O 2.9827 4.9351 12.6459
O 3.2480 1.0086 6.9693
O 3.2463 9.3145 16.8516
O 3.3561 2.3994 12.5688
O 3.5344 2.4368 4.8992
O 3.6529 7.6951 12.0000
O 3.7308 0.5062 14.8581
O 3.8459 5.8223 10.0342
O 3.9375 10.0829 4.1787
O 4.1298 8.3864 2.0817
O 4.1761 1.8921 2.1889
O 4.2006 10.1091 12.1805
O 4.4544 6.4309 19.2914
O 4.6322 8.8692 9.9705
O 4.9093 7.4821 4.6223
O 4.9351 2.9827 6.9045
O 4.9445 1.2009 9.0663
O 4.9707 0.9378 17.0681
O 5.3060 9.3390 7.2929
O 5.3323 9.0758 18.8415
O 5.3417 7.2941 16.6797
O 5.3675 2.7947 14.3975
O 5.6446 1.4075 0.1953
O 5.8223 3.8459 9.5162
O 6.0762 0.1676 2.4053
O 6.1006 8.3847 11.9640
O 6.1470 1.8903 11.8568
O 6.3393 0.1939 13.9539
O 6.4309 4.4544 0.2590
O 6.5459 9.7706 5.0829
O 6.6238 2.5817 2.2248
O 6.7423 7.8399 14.6744
O 6.9206 7.8773 2.7937
O 7.0305 0.9623 7.0764
O 7.0287 9.2682 16.7444
O 7.2941 5.3417 2.8707
O 7.4821 4.9093 14.9281
O 7.5378 1.7822 17.4564
O 7.5752 1.6040 9.7868
O 7.6951 3.6529 7.5504
O 7.7200 8.7913 7.1124
O 7.8399 6.7423 4.8760
O 7.8773 6.9206 16.7567
O 7.9330 10.0477 19.2851
O 8.1210 0.2033 11.7921
O 8.3864 4.1298 17.4687
O 8.3847 6.1006 7.5863
O 8.4945 2.7390 11.8691
O 8.6728 2.7015 19.5388
O 8.7913 7.7200 12.4380
O 8.8692 4.6322 9.5799
O 8.9842 9.5928 14.4038
O 9.0758 5.3323 0.7089
O 9.2682 7.0287 2.8059
O 9.3145 3.2463 2.6987
O 9.3390 5.3060 12.2574
O 9.5928 8.9842 5.1466
O 9.7706 6.5459 14.4675
O 10.0477 7.9330 0.2653
O 10.0735 2.1557 17.5335
O 10.0829 3.9375 15.3716
O 10.1091 4.2006 7.3699


Record 2
! PBE with a Hubbard U MgMn12O14F10, relaxed; values from VASP
! total moment: 1.295 μB per atom
! calculated formation energy: -2234 meV/atom
! ΔE to the lowest computed polymorph: 0.90 kcal/mol of atoms
&SYSTEM
  ibrav = 0, nat = 37, ntyp = 4
/
ATOMIC_SPECIES
Mg 24.30 Mg.upf
Mn 54.94 Mn.upf
O 16.00 O.upf
F 19.00 F.upf
CELL_PARAMETERS angstrom
4.8175 0.0000 0.0000
0.0111 5.7336 0.0000
0.0014 0.3168 15.3116
ATOMIC_POSITIONS angstrom
Mg 0.0000 0.0000 0.0000
Mn 2.2186 0.6312 10.1594
Mn 2.2442 4.6314 12.7844
Mn 2.2765 4.3832 2.6336
Mn 2.2792 0.4188 5.1860
Mn 2.3399 4.5786 7.6030
Mn 2.4083 0.7436 15.2938
Mn 4.4652 3.3837 9.9696
Mn 4.5002 1.5084 7.4678
Mn 4.5252 1.6243 12.4866
Mn 4.6181 3.4832 5.0403
Mn 4.6841 3.3634 15.0394
Mn 4.7685 1.5866 2.5674
O 1.1712 0.3895 11.8186
O 1.2107 4.7510 14.4461
O 1.2134 4.7421 4.2384
O 1.2101 0.2665 6.7289
O 1.2758 0.1929 1.5600
O 3.2724 0.2342 8.5377
O 3.3340 4.7700 5.9901
O 3.4792 3.1761 8.3376
O 3.5040 0.3736 13.7712
O 3.5110 1.9339 10.8426
O 3.5955 3.1900 13.4554
O 3.5970 1.7940 5.8404
O 3.7044 3.1862 3.3689
O 3.7821 1.5846 0.7247
F 0.8332 1.7524 9.0910
F 0.8704 3.2534 11.5960
F 0.9629 3.2372 6.7113
F 1.0039 1.7867 14.2158
F 1.0757 3.0345 1.4220
F 1.0965 4.6591 9.2526
F 1.1588 1.8102 4.2507
F 3.3206 4.7703 11.1093
F 3.4002 0.3015 3.5138
F 3.5745 4.4993 0.9299


Record 3
! PBE with a Hubbard U SrPrMn2O6, relaxed; values from VASP
! total moment: 0.700 μB per atom
! calculated formation energy: -2729 meV/atom
&SYSTEM
  ibrav = 0, nat = 20, ntyp = 4
/
ATOMIC_SPECIES
Sr 87.62 Sr.upf
Pr 140.91 Pr.upf
Mn 54.94 Mn.upf
O 16.00 O.upf
CELL_PARAMETERS angstrom
7.7715 0.0000 0.0000
0.0000 5.5345 0.0000
0.0000 0.0000 5.5653
ATOMIC_POSITIONS angstrom
Sr 0.0000 1.3064 0.0000
Sr 3.8857 4.2281 2.7827
Pr 0.0000 3.9927 2.8410
Pr 3.8857 1.5418 0.0584
Mn 1.9450 1.3680 2.7911
Mn 1.9407 4.1665 0.0085
Mn 5.8265 1.3680 2.7911
Mn 5.8307 4.1665 0.0085
O 0.0000 1.4581 2.4994
O 0.0000 4.1704 0.4108
O 1.6697 5.3814 4.0262
O 1.7002 2.6896 4.2554
O 2.1856 2.8449 1.4728
O 2.2160 0.1530 1.2436
O 3.8857 1.3641 3.1935
O 3.8857 4.0764 5.2820
O 5.5554 0.1530 1.2436
O 5.5859 2.8449 1.4728
O 6.0713 2.6896 4.2554
O 6.1018 5.3814 4.0262


Record 4
! PBE with a Hubbard U CaCr2CoO7, relaxed; values from VASP
! total moment: 0.455 μB per atom
! calculated formation energy: -2036 meV/atom
&SYSTEM
  ibrav = 0, nat = 88, ntyp = 4
/
ATOMIC_SPECIES
Ca 40.08 Ca.upf
Cr 52.00 Cr.upf
Co 58.93 Co.upf
O 16.00 O.upf
CELL_PARAMETERS angstrom
6.8425 0.0000 0.0000
0.0000 14.6438 0.0000
-1.8649 0.0000 11.1320
ATOMIC_POSITIONS angstrom
Ca 0.1074 0.0366 2.5357
Ca -0.8250 7.2853 8.1017
Ca 0.4652 1.7591 10.7111
Ca 1.3976 5.5628 5.1451
Ca 3.5799 9.0810 5.9869
Ca 4.5124 12.8847 0.4209
Ca 5.8026 7.3584 3.0303
Ca 4.8701 14.6072 8.5963
Cr -0.0675 2.0024 5.7571
Cr 0.8650 5.3195 0.1911
Cr 0.1244 9.2401 5.7364
Cr 1.0569 12.7256 0.1704
Cr 2.5380 7.5471 2.1093
Cr 1.6056 14.4186 7.6753
Cr 2.9840 10.3110 2.3810
Cr 2.0515 11.6547 7.9470
Cr 2.9260 2.9891 3.1850
Cr 1.9936 4.3328 8.7510
Cr 3.3720 0.2252 3.4567
Cr 2.4395 7.0967 9.0227
Cr 3.9206 1.9182 10.9617
Cr 4.8531 5.4037 5.3957
Cr 4.1125 9.3243 10.9409
Cr 5.0450 12.6414 5.3749
Co -0.4612 10.9239 2.7963
Co -1.3936 11.0418 8.3623
Co 0.7757 9.8420 10.3164
Co 1.7082 12.1237 4.7504
Co 3.2693 2.5201 6.3816
Co 4.2018 4.8018 0.8156
Co 6.3712 3.6020 2.7697
Co 5.4387 3.7199 8.3357
O -0.6772 9.4088 4.2186
O -1.6097 12.5569 9.7846
O -1.1089 9.4955 6.9571
O -0.1764 12.4702 1.3911
O -0.4651 2.0053 4.1262
O -1.3976 5.3166 9.6922
O -1.3701 9.6707 9.9731
O -0.4377 12.2950 4.4071
O 0.5084 0.4950 6.1198
O 1.4409 6.8269 0.5538
O 0.6355 7.6520 6.0520
O 1.5679 14.3137 0.4860
O 0.3626 0.3051 8.7987
O 1.2951 7.0168 3.2327
O 0.5478 3.4684 8.8676
O 1.4802 3.8535 3.3016
O 1.5747 10.9678 3.1127
O 0.6422 10.9979 8.6787
O 1.1382 3.0981 6.0595
O 2.0707 4.2238 0.4935
O 1.5037 10.2829 5.9173
O 2.4362 11.6827 0.3512
O 1.0445 8.1768 9.2416
O 1.9769 13.7889 3.6756
O 2.5881 9.1302 1.0590
O 1.6556 12.8355 6.6250
O 2.5331 1.5511 2.2089
O 1.6007 5.7708 7.7749
O 3.3769 8.8730 3.3571
O 2.4444 13.0927 8.9231
O 3.3219 1.8083 4.5070
O 2.3895 5.5136 10.0730
O 3.0006 0.8549 7.4565
O 3.9331 6.4670 1.8904
O 2.5413 2.9610 10.7808
O 3.4738 4.3608 5.2148
O 2.9068 10.4200 10.6385
O 3.8393 11.5457 5.0725
O 4.3353 3.6459 2.4533
O 3.4029 3.6760 8.0193
O 3.4973 10.7903 7.8304
O 4.4298 11.1754 2.2644
O 3.6825 7.6270 7.8993
O 4.6149 14.3387 2.3333
O 3.4096 0.3301 10.6460
O 4.3421 6.9918 5.0800
O 3.5367 7.8169 10.5783
O 4.4691 14.1488 5.0123
O 5.4152 2.3488 6.7249
O 6.3477 4.9731 1.1589
O 6.3751 9.3272 1.4398
O 5.4426 12.6385 7.0058
O 5.1539 2.1736 9.7409
O 6.0864 5.1483 4.1749
O 6.5873 2.0869 1.3475
O 5.6548 5.2350 6.9135


Record 5
! PBE with a Hubbard U Li4Ti3Co3O12, relaxed; values from VASP
! total moment: 0.000 μB per atom
! calculated formation energy: -2431 meV/atom
&SYSTEM
  ibrav = 0, nat = 44, ntyp = 4
/
ATOMIC_SPECIES
Li 6.94 Li.upf
Ti 47.87 Ti.upf
Co 58.93 Co.upf
O 16.00 O.upf
CELL_PARAMETERS angstrom
6.6157 0.0000 0.0000
2.6754 7.9680 0.0000
0.2161 0.1392 8.6424
ATOMIC_POSITIONS angstrom
Li 0.0000 0.0000 0.0000
Li 1.4458 4.0536 4.3212
Li 0.8562 2.0867 6.4775
Li 2.8806 1.6039 4.1791
Li 4.2991 5.5309 8.4815
Li 5.2081 2.5764 0.1609
Li 6.6266 6.5034 4.4633
Li 8.6510 6.0206 2.1648
Ti 0.7712 2.0779 2.2200
Ti 4.7947 7.3971 2.2205
Ti 3.6419 3.4872 6.5890
Ti 5.8653 4.6200 2.0533
Ti 4.7125 0.7102 6.4219
Ti 8.7360 6.0294 6.4223
Co 0.1081 0.0696 4.3212
Co 1.3377 3.9840 0.0000
Co 4.0793 5.3552 4.3203
Co 2.6666 1.3377 0.0039
Co 6.8406 6.7696 8.6385
Co 5.4279 2.7521 4.3220
O 0.7862 2.0588 4.1587
O 1.6630 4.1712 6.5406
O 0.8501 1.9271 0.1403
O 0.2767 0.0450 2.2041
O 3.9617 5.4069 6.4522
O 2.5926 1.2672 2.1368
O 3.5461 3.4495 8.4614
O 3.5171 3.5370 4.5202
O 4.7278 7.1632 4.1496
O 2.9203 1.6212 6.5332
O 4.1272 5.4197 2.2237
O 4.8192 7.2853 0.2105
O 4.6880 0.8220 8.4319
O 5.3800 2.6875 6.4187
O 6.5869 6.4861 2.1092
O 4.7794 0.9441 4.4927
O 5.9901 4.5703 4.1222
O 5.9611 4.6577 0.1810
O 6.9146 6.8400 6.5056
O 5.5455 2.7004 2.1902
O 9.2305 8.0622 6.4383
O 8.6571 6.1802 8.5020
O 7.8441 3.9361 2.1018
O 8.7210 6.0485 4.4837


Record 6
! PBE with a Hubbard U LiFePH12O10, relaxed; values from VASP
! total moment: 0.160 μB per atom
! calculated formation energy: -1576 meV/atom
&SYSTEM
  ibrav = 0, nat = 50, ntyp = 5
/
ATOMIC_SPECIES
Li 6.94 Li.upf
Fe 55.84 Fe.upf
P 30.97 P.upf
H 1.01 H.upf
O 16.00 O.upf
CELL_PARAMETERS angstrom
6.9434 0.0000 0.0000
0.0000 6.0956 0.0000
0.0000 0.0000 10.7978
ATOMIC_POSITIONS angstrom
Li 0.0000 0.2316 0.0000
Li 3.4717 5.8641 5.3989
Fe 0.0000 0.6872 3.1797
Fe 3.4717 5.4085 8.5786
P 0.0000 2.9668 7.2843
P 3.4717 3.1289 1.8854
H 0.0000 4.0282 3.5379
H 0.0000 4.6443 5.0444
H 0.8210 3.1224 1.8480
H 1.1377 4.1047 9.3391
H 1.2825 5.3023 6.8995
H 1.4656 1.6766 5.2300
H 1.7281 5.3486 1.6100
H 1.7436 0.7470 7.0090
H 2.0061 4.4190 10.6289
H 2.1892 0.7933 1.5005
H 2.3340 1.9909 3.9402
H 2.6507 2.9733 7.2469
H 3.4717 1.4513 10.4433
H 3.4717 2.0674 8.9368
H 4.2927 2.9733 7.2469
H 4.6094 1.9909 3.9402
H 4.7542 0.7933 1.5005
H 4.9373 4.4190 10.6289
H 5.1998 0.7470 7.0090
H 5.2153 5.3486 1.6100
H 5.4778 1.6766 5.2300
H 5.6609 5.3023 6.8995
H 5.8057 4.1047 9.3391
H 6.1224 3.1224 1.8480
O 0.0000 2.7662 2.3191
O 0.0000 3.0085 8.8243
O 0.0000 4.4340 6.7161
O 0.0000 4.8720 4.0711
O 1.2744 2.2529 6.7376
O 1.3619 0.1977 1.5577
O 1.7187 4.8304 9.7510
O 1.7530 1.2653 4.3521
O 2.1099 5.8979 6.9566
O 2.1973 3.8427 1.3386
O 3.4717 1.2236 9.4700
O 3.4717 1.6616 1.3172
O 3.4717 3.0871 3.4254
O 3.4717 3.3294 7.7180
O 4.7461 3.8427 1.3386
O 4.8336 5.8979 6.9566
O 5.1904 1.2653 4.3521
O 5.2247 4.8304 9.7510
O 5.5816 0.1977 1.5577
O 5.6690 2.2529 6.7376